First-principles (r²SCAN) data for a relaxed structure of Cs2MnH12S2O14, as listed in the Materials Project database.

Cell: 6.343 12.901 9.335 Å, 90.00 107.28 90.00°
Space group P2_1/c (No. 14)
Unique sites:
Cs1 0.144 0.144 0.366 [4 per cell]
Mn1 0.500 0.000 0.000 [2 per cell]
H1 0.151 0.564 0.596 [4 per cell]
H2 0.178 0.103 0.782 [4 per cell]
H3 0.180 0.644 0.478 [4 per cell]
H4 0.412 0.133 0.758 [4 per cell]
H5 0.421 0.600 0.217 [4 per cell]
H6 0.476 0.687 0.342 [4 per cell]
S1 0.240 0.645 0.897 [4 per cell]
O1 0.101 0.583 0.769 [4 per cell]
O2 0.110 0.734 0.921 [4 per cell]
O3 0.193 0.570 0.503 [4 per cell]
O4 0.302 0.578 0.031 [4 per cell]
O5 0.337 0.116 0.832 [4 per cell]
O6 0.440 0.682 0.861 [4 per cell]
O7 0.499 0.113 0.177 [4 per cell]

Computed properties:
As for the crystal system: monoclinic. For the formation energy, the calculation gives -1.4293 eV per atom. Its total energy is -8.08 eV/atom.